[1]
! SiH16C8N4O8 | the Materials Project database | PBE | relaxed; values from VASP
! Size of the total moment in Bohr magnetons per cell: 0.12
! Energy relative to the elements in meV/atom: -689
! Space-group type: P2_1/c (14)
&SYSTEM
  ibrav = 0, nat = 148, ntyp = 5
/
ATOMIC_SPECIES
Si 28.09 Si.upf
H 1.01 H.upf
C 12.01 C.upf
N 14.01 N.upf
O 16.00 O.upf
CELL_PARAMETERS angstrom
7.628 0.000 0.000
0.000 6.994 0.000
-3.496 0.000 28.861
ATOMIC_POSITIONS angstrom
Si -1.239 1.106 11.126
Si -2.987 2.391 25.557
Si 7.119 4.603 3.304
Si 5.371 5.888 17.735
H -2.884 4.793 26.381
H -1.136 5.698 11.950
H -3.001 1.043 27.694
H -1.253 2.454 13.263
H -1.532 0.249 15.756
H 0.216 3.248 1.326
H -2.675 0.034 26.284
H -0.927 3.463 11.854
H -0.042 4.055 7.687
H -1.790 6.436 22.118
H 0.032 1.360 8.978
H -1.715 2.137 23.408
H 0.799 1.559 6.162
H -0.949 1.938 20.592
H 1.374 4.422 4.920
H -0.374 6.069 19.351
H 0.121 5.167 17.919
H 1.869 5.324 3.488
H 1.306 4.280 8.770
H -0.442 6.211 23.201
H 1.147 1.308 10.345
H -0.601 2.189 24.776
H 2.926 4.491 0.173
H 1.178 6.000 14.604
H 1.168 4.376 15.314
H 2.916 6.115 0.884
H 2.324 1.378 6.989
H 0.576 2.119 21.420
H 2.004 4.253 11.873
H 0.256 6.238 26.304
H 0.488 4.844 25.284
H 2.236 5.647 10.853
H 1.896 1.347 18.008
H 3.644 2.150 3.577
H 3.876 0.756 2.557
H 2.128 2.741 16.988
H 3.556 4.875 7.441
H 1.808 5.616 21.872
H 1.217 0.879 27.977
H 2.965 2.618 13.547
H 2.954 0.994 14.257
H 1.206 2.503 28.688
H 4.733 4.805 4.085
H 2.985 5.686 18.516
H 4.574 0.783 5.660
H 2.826 2.714 20.091
H 2.263 1.670 25.373
H 4.011 1.827 10.942
H 4.506 0.925 9.510
H 2.758 2.572 23.941
H 5.081 5.056 8.269
H 3.333 5.435 22.699
H 5.848 4.857 5.453
H 4.100 5.634 19.883
H 5.922 0.558 6.743
H 4.174 2.939 21.174
H 5.059 3.531 17.007
H 6.807 6.960 2.577
H 3.916 3.746 27.535
H 5.664 6.745 13.105
H 5.385 4.540 15.598
H 7.133 5.951 1.167
H 5.269 1.296 16.911
H 7.017 2.201 2.480
C -1.649 0.462 16.829
C 0.099 3.035 2.398
C -2.446 1.001 26.746
C -0.698 2.496 12.315
C -1.841 4.675 23.150
C -0.093 5.816 8.720
C 0.240 0.852 9.930
C -1.508 2.645 24.361
C 1.051 5.199 4.215
C -0.697 5.292 18.645
C 2.033 1.602 2.402
C 0.285 1.895 16.833
C 0.147 3.652 20.138
C 1.895 6.838 5.708
C 1.250 1.498 13.267
C -0.498 1.999 27.698
C 4.630 4.995 1.163
C 2.882 5.496 15.594
C 2.237 0.156 23.153
C 3.985 3.341 8.723
C 3.848 5.099 12.028
C 2.100 5.392 26.459
C 4.829 1.702 10.216
C 3.082 1.795 24.646
C 5.640 4.349 4.500
C 3.892 6.142 18.931
C 4.225 1.178 20.141
C 5.973 2.319 5.711
C 4.830 4.498 16.546
C 6.578 5.993 2.115
C 4.033 3.959 26.463
C 5.781 6.532 12.033
N 0.420 4.616 8.404
N -1.328 5.874 22.834
N 1.654 1.019 6.313
N -0.094 2.478 20.744
N 3.366 5.210 0.758
N 1.618 5.281 15.188
N 3.248 1.435 2.975
N 1.500 2.062 17.406
N 2.632 4.932 11.455
N 0.884 5.559 25.886
N 2.514 1.713 13.673
N 0.767 1.784 28.103
N 4.226 4.516 8.117
N 2.478 5.975 22.548
N 5.461 1.120 6.027
N 3.713 2.377 20.457
O -2.355 0.701 20.615
O -0.607 2.796 6.184
O -0.908 4.043 19.352
O 0.840 6.448 4.922
O -0.363 0.832 17.394
O 1.560 0.880 1.517
O -0.188 2.617 15.948
O 1.385 2.665 2.964
O -1.094 4.016 24.077
O 0.654 6.475 9.646
O 0.608 0.447 13.423
O -1.140 3.050 27.854
O -1.018 0.917 27.043
O 0.730 2.580 12.613
O 1.189 4.316 20.262
O 2.937 6.175 5.832
O 1.196 0.819 23.029
O 2.943 2.678 8.599
O 3.403 4.414 16.248
O 5.151 6.077 1.818
O 5.272 3.944 1.007
O 3.524 6.547 15.438
O 3.478 0.519 19.215
O 5.226 2.978 4.784
O 2.748 4.329 25.897
O 4.320 4.377 12.913
O 2.572 6.114 27.344
O 4.495 6.162 11.467
O 3.293 0.546 23.939
O 5.041 2.951 9.509
O 4.739 4.198 22.677
O 6.487 6.293 8.246

---

[2]
! MgSnO2 | the Materials Project database | PBE | relaxed; values from VASP
! Size of the total moment in Bohr magnetons per cell: 0.01
! Energy relative to the elements in meV/atom: -2081
! Space-group type: P1 (1)
&SYSTEM
  ibrav = 0, nat = 16, ntyp = 3
/
ATOMIC_SPECIES
Mg 24.30 Mg.upf
Sn 118.71 Sn.upf
O 16.00 O.upf
CELL_PARAMETERS angstrom
3.302 0.000 0.000
-0.386 8.745 0.000
-0.042 -2.289 8.617
ATOMIC_POSITIONS angstrom
Mg 0.000 0.000 0.000
Mg -0.169 5.728 1.875
Mg 1.131 6.147 5.635
Mg 1.499 3.261 7.509
Sn 0.285 0.305 6.247
Sn 1.152 2.998 0.858
Sn 2.166 -0.004 2.973
Sn 2.727 3.824 4.424
O -0.160 3.284 8.534
O 0.034 7.802 1.839
O 1.127 4.176 5.810
O 1.221 6.631 7.575
O 1.456 4.546 2.210
O 1.939 1.570 6.445
O 2.674 1.564 1.509
O 2.787 6.020 4.444

---

[3]
! Dy9Al5Se21 | the Materials Project database | PBE | relaxed; values from VASP
! Size of the total moment in Bohr magnetons per cell: 0.00
! Energy relative to the elements in meV/atom: -1763
! Space-group type: R3 (146)
&SYSTEM
  ibrav = 0, nat = 70, ntyp = 3
/
ATOMIC_SPECIES
Dy 162.50 Dy.upf
Al 26.98 Al.upf
Se 78.96 Se.upf
CELL_PARAMETERS angstrom
8.841 5.105 6.266
-8.841 5.105 6.266
0.000 -10.209 6.266
ATOMIC_POSITIONS angstrom
Dy -6.822 -2.473 9.251
Dy -1.269 -7.080 6.266
Dy -2.053 -2.608 6.125
Dy -7.638 2.012 9.304
Dy -5.497 4.639 6.266
Dy -3.336 0.473 9.394
Dy -1.232 3.082 6.125
Dy 2.077 -7.621 9.304
Dy -2.047 -2.602 12.423
Dy 1.259 -3.125 9.394
Dy 3.285 -0.474 6.125
Dy 5.553 -4.671 9.251
Dy -1.230 3.073 12.423
Dy 2.077 2.653 9.394
Dy 6.766 2.441 6.266
Dy 1.269 7.144 9.251
Dy 3.276 -0.472 12.423
Dy 5.562 5.609 9.304
Al 0.000 0.000 1.861
Al -2.972 -5.093 8.823
Al -5.902 -0.010 11.956
Al 0.000 0.000 7.759
Al -2.925 5.120 8.823
Al 0.000 0.000 11.266
Al 2.960 -5.106 11.956
Al 5.896 -0.027 8.823
Al 0.000 0.000 17.151
Al 2.942 5.117 11.956
Se -5.092 2.038 4.710
Se -1.371 -1.735 3.160
Se -4.320 -3.395 7.799
Se -5.913 0.010 8.060
Se 0.781 -5.429 4.710
Se -7.585 -3.441 12.777
Se -0.817 2.055 3.160
Se -0.830 -4.705 7.823
Se -2.160 0.241 6.620
Se -2.928 -5.092 11.192
Se -4.594 -1.747 10.940
Se 2.188 -0.320 3.160
Se -3.660 3.071 7.823
Se 0.871 -1.991 6.620
Se -5.176 2.045 10.940
Se -1.262 -1.655 9.645
Se -4.250 -3.347 14.099
Se 2.948 -5.126 8.060
Se 0.817 -5.505 10.940
Se 1.289 1.750 6.620
Se -0.803 1.920 9.645
Se -0.780 5.439 7.799
Se -2.188 0.314 12.561
Se -2.946 5.082 11.192
Se 4.311 3.391 4.710
Se 2.064 -0.265 9.645
Se 5.100 -2.044 7.799
Se 0.822 -2.052 12.561
Se 3.810 -3.105 10.940
Se -1.280 -1.760 16.017
Se 4.489 1.634 7.823
Se 2.965 5.116 8.060
Se 0.784 4.852 10.940
Se 1.366 1.738 12.561
Se -0.884 1.989 16.017
Se -0.774 5.355 14.099
Se 6.773 -4.848 12.777
Se 5.874 0.011 11.192
Se 4.359 3.460 10.940
Se 2.164 -0.229 16.017
Se 5.024 -2.007 14.099
Se 0.812 8.290 12.777

---

[4]
! Ba2MgTi2O6 | the Materials Project database | PBE | relaxed; values from VASP
! Size of the total moment in Bohr magnetons per cell: 0.01
! Energy relative to the elements in meV/atom: -2876
! Space-group type: I4/mmm (139)
&SYSTEM
  ibrav = 0, nat = 11, ntyp = 4
/
ATOMIC_SPECIES
Ba 137.33 Ba.upf
Mg 24.30 Mg.upf
Ti 47.87 Ti.upf
O 16.00 O.upf
CELL_PARAMETERS angstrom
-2.863 2.863 4.606
2.863 -2.863 4.606
2.863 2.863 -4.606
ATOMIC_POSITIONS angstrom
Ba 0.000 0.000 1.815
Ba 0.000 0.000 7.397
Mg 0.000 0.000 4.606
Ti 2.863 0.000 0.000
Ti 0.000 2.863 0.000
O 2.863 0.000 2.303
O 1.469 1.469 0.000
O 1.394 -1.394 4.606
O -1.394 1.394 4.606
O 1.394 1.394 4.606
O 0.000 2.863 2.303

---

[5]
! SbAsPd5 | the Materials Project database | PBE | relaxed; values from VASP
! Size of the total moment in Bohr magnetons per cell: 0.01
! Energy relative to the elements in meV/atom: -380
! Space-group type: Fd-3m (227)
&SYSTEM
  ibrav = 0, nat = 28, ntyp = 3
/
ATOMIC_SPECIES
Sb 121.76 Sb.upf
As 74.92 As.upf
Pd 106.42 Pd.upf
CELL_PARAMETERS angstrom
0.000 6.210 6.210
6.210 0.000 6.210
6.210 6.210 0.000
ATOMIC_POSITIONS angstrom
Sb 0.000 0.000 0.000
Sb 3.105 3.105 0.000
Sb 3.105 0.000 3.105
Sb 0.000 3.105 3.105
As 6.210 3.105 3.105
As 3.105 6.210 3.105
As 3.105 3.105 6.210
As 6.210 6.210 6.210
Pd 9.757 5.767 5.767
Pd 4.657 4.657 1.997
Pd 4.657 1.997 4.657
Pd 7.317 4.657 4.657
Pd 2.662 2.662 2.662
Pd 6.652 6.652 2.662
Pd 6.652 2.662 6.652
Pd 7.762 7.762 5.102
Pd 7.762 5.102 7.762
Pd 10.422 7.762 7.762
Pd 1.997 4.657 4.657
Pd 4.657 7.317 4.657
Pd 4.657 4.657 7.317
Pd 5.767 9.757 5.767
Pd 5.767 5.767 9.757
Pd 9.757 9.757 9.757
Pd 5.102 7.762 7.762
Pd 7.762 10.422 7.762
Pd 7.762 7.762 10.422
Pd 2.662 6.652 6.652

---

[6]
! ThCuN2 | the Materials Project database | PBE | relaxed; values from VASP
! Size of the total moment in Bohr magnetons per cell: 0.00
! Energy relative to the elements in meV/atom: -887
! Space-group type: P4/mmm (123)
&SYSTEM
  ibrav = 0, nat = 4, ntyp = 3
/
ATOMIC_SPECIES
Th 232.04 Th.upf
Cu 63.55 Cu.upf
N 14.01 N.upf
CELL_PARAMETERS angstrom
3.972 0.000 0.000
0.000 3.972 0.000
0.000 0.000 3.346
ATOMIC_POSITIONS angstrom
Th 0.000 0.000 0.000
Cu 1.986 1.986 1.673
N 0.000 1.986 1.673
N 1.986 0.000 1.673

---

Q: Number 5 is which compound?
A: SbAsPd5

---

Q: What is the formula in the second record?
A: MgSnO2